First-principles (meta-GGA r2SCAN) data for crystalline KIn4 at its relaxed geometry, as listed in the Materials Project database.

```
data_KIn4
_chemical_formula_sum 'K2 In8'
_space_group_name_H-M_alt 'I 4/m m m'
_space_group_IT_number 139
_space_group_name_Hall '-I 4 2'
_cell_length_a 4.861
_cell_length_b 4.861
_cell_length_c 12.698
_cell_angle_alpha 90.00
_cell_angle_beta 90.00
_cell_angle_gamma 90.00
loop_
_atom_site_label
_atom_site_fract_x
_atom_site_fract_y
_atom_site_fract_z
_atom_site_occupancy
K1 0.000 0.000 0.000 1
In1 0.000 0.000 0.388 1
In2 0.000 0.500 0.250 1
```

Output
ΔE_f = -0.249 eV/atom

First-principles (meta-GGA r2SCAN) data for crystalline CeMg2 at its relaxed geometry, as listed in the Materials Project database.

```
data_CeMg2
_chemical_formula_sum 'Ce2 Mg4'
_space_group_name_H-M_alt 'P -6 m 2'
_space_group_IT_number 187
_space_group_name_Hall 'P -6 2'
_cell_length_a 3.1018
_cell_length_b 3.1018
_cell_length_c 17.1163
_cell_angle_alpha 90.00
_cell_angle_beta 90.00
_cell_angle_gamma 120.00
loop_
_atom_site_label
_atom_site_fract_x
_atom_site_fract_y
_atom_site_fract_z
_atom_site_occupancy
Ce1 0.0000 0.0000 0.1749 1
Mg1 0.0000 0.0000 0.5000 1
Mg2 0.6667 0.3333 0.0000 1
Mg3 0.6667 0.3333 0.3471 1
```

Output
ΔE_f = -0.007 eV/atom

First-principles (meta-GGA r2SCAN) data for crystalline K2Ca2S3O12 at its relaxed geometry, as listed in the Materials Project database.

```
data_K2Ca2S3O12
_chemical_formula_sum 'K8 Ca8 S12 O48'
_space_group_name_H-M_alt 'P 21 3'
_space_group_IT_number 198
_space_group_name_Hall 'P 2ac 2ab 3'
_cell_length_a 10.463
_cell_length_b 10.463
_cell_length_c 10.463
_cell_angle_alpha 90.00
_cell_angle_beta 90.00
_cell_angle_gamma 90.00
loop_
_atom_site_label
_atom_site_fract_x
_atom_site_fract_y
_atom_site_fract_z
_atom_site_occupancy
K1 0.052 0.052 0.052 1
K2 0.188 0.312 0.688 1
Ca1 0.087 0.913 0.413 1
Ca2 0.173 0.673 0.827 1
S1 0.007 0.230 0.374 1
O1 0.014 0.103 0.312 1
O2 0.021 0.087 0.725 1
O3 0.037 0.826 0.218 1
O4 0.075 0.867 0.766 1
```

Output
ΔE_f = -2.265 eV/atom

First-principles (meta-GGA r2SCAN) data for crystalline Ba3Zn2As4 at its relaxed geometry, as listed in the Materials Project database.

```
data_Ba3Zn2As4
_chemical_formula_sum 'Ba6 Zn4 As8'
_space_group_name_H-M_alt 'C 1 2/m 1'
_space_group_IT_number 12
_cell_length_a 17.016
_cell_length_b 4.498
_cell_length_c 7.279
_cell_angle_alpha 90.00
_cell_angle_beta 113.26
_cell_angle_gamma 90.00
loop_
_space_group_symop_operation_xyz
'x,y,z'
'-x,-y,-z'
'-x,y,-z'
'x,-y,z'
'x+1/2,y+1/2,z'
'-x+1/2,-y+1/2,-z'
'-x+1/2,y+1/2,-z'
'x+1/2,-y+1/2,z'
loop_
_atom_site_label
_atom_site_fract_x
_atom_site_fract_y
_atom_site_fract_z
_atom_site_occupancy
Ba1 0.000 0.000 0.000 1
Ba2 0.144 0.000 0.584 1
Zn1 0.171 0.500 0.961 1
As1 0.012 0.500 0.680 1
As2 0.206 0.000 0.161 1
```

Output
ΔE_f = -0.997 eV/atom

First-principles (meta-GGA r2SCAN) data for crystalline Ti2SiC at its relaxed geometry, as listed in the Materials Project database.

```
data_Ti2SiC
_chemical_formula_sum 'Ti4 Si2 C2'
_space_group_name_H-M_alt 'P 63/m m c'
_space_group_IT_number 194
_space_group_name_Hall '-P 6c 2c'
_cell_length_a 3.0493
_cell_length_b 3.0493
_cell_length_c 12.8028
_cell_angle_alpha 90.00
_cell_angle_beta 90.00
_cell_angle_gamma 120.00
loop_
_atom_site_label
_atom_site_fract_x
_atom_site_fract_y
_atom_site_fract_z
_atom_site_occupancy
Ti1 0.3333 0.6667 0.0917 1
Si1 0.3333 0.6667 0.7500 1
C1 0.0000 0.0000 0.0000 1
```

Output
ΔE_f = -0.849 eV/atom

First-principles (meta-GGA r2SCAN) data for crystalline CeMnSi2 at its relaxed geometry, as listed in the Materials Project database.

```
data_CeMnSi2
_chemical_formula_sum 'Ce4 Mn4 Si8'
_space_group_name_H-M_alt 'C m c m'
_space_group_IT_number 63
_space_group_name_Hall '-C 2c 2'
_cell_length_a 4.047
_cell_length_b 17.506
_cell_length_c 4.009
_cell_angle_alpha 90.00
_cell_angle_beta 90.00
_cell_angle_gamma 90.00
loop_
_atom_site_label
_atom_site_fract_x
_atom_site_fract_y
_atom_site_fract_z
_atom_site_occupancy
Ce1 0.000 0.101 0.250 1
Mn1 0.000 0.250 0.750 1
Si1 0.000 0.325 0.250 1
Si2 0.000 0.464 0.250 1
```

Output
ΔE_f = -0.652 eV/atom

First-principles (meta-GGA r2SCAN) data for crystalline UBrN at its relaxed geometry, as listed in the Materials Project database.

```
data_UBrN
_chemical_formula_sum 'U2 Br2 N2'
_space_group_name_H-M_alt 'P 4/n m m'
_space_group_IT_number 129
_cell_length_a 3.855
_cell_length_b 3.855
_cell_length_c 8.805
_cell_angle_alpha 90.00
_cell_angle_beta 90.00
_cell_angle_gamma 90.00
loop_
_space_group_symop_operation_xyz
'x,y,z'
'-x,-y,-z'
'-y+1/2,x,z'
'y+1/2,-x,-z'
'-x+1/2,-y+1/2,z'
'x+1/2,y+1/2,-z'
'y,-x+1/2,z'
'-y,x+1/2,-z'
'x+1/2,-y,-z'
'-x+1/2,y,z'
'-y,-x,-z'
'y,x,z'
'-x,y+1/2,-z'
'x,-y+1/2,z'
'y+1/2,x+1/2,-z'
'-y+1/2,-x+1/2,z'
loop_
_atom_site_label
_atom_site_fract_x
_atom_site_fract_y
_atom_site_fract_z
_atom_site_occupancy
U1 0.250 0.250 0.133 1
Br1 0.250 0.250 0.668 1
N1 0.250 0.750 0.000 1
```

Output
ΔE_f = -1.880 eV/atom

First-principles (meta-GGA r2SCAN) data for crystalline K3Mo2Br9 at its relaxed geometry, as listed in the Materials Project database.

```
data_K3Mo2Br9
_chemical_formula_sum 'K6 Mo4 Br18'
_space_group_name_H-M_alt 'P 63/m'
_space_group_IT_number 176
_space_group_name_Hall '-P 6c'
_cell_length_a 7.5051
_cell_length_b 7.5051
_cell_length_c 18.1983
_cell_angle_alpha 90.00
_cell_angle_beta 90.00
_cell_angle_gamma 120.00
loop_
_atom_site_label
_atom_site_fract_x
_atom_site_fract_y
_atom_site_fract_z
_atom_site_occupancy
K1 0.0000 0.0000 0.2500 1
K2 0.3333 0.6667 0.0548 1
Mo1 0.3333 0.6667 0.6727 1
Br1 0.0004 0.4465 0.2500 1
Br2 0.1182 0.3474 0.5922 1
```

Output
ΔE_f = -1.299 eV/atom

First-principles (meta-GGA r2SCAN) data for crystalline BaEuVBiO6 at its relaxed geometry, as listed in the Materials Project database.

```
data_BaEuVBiO6
_chemical_formula_sum 'Ba4 Eu4 V4 Bi4 O24'
_space_group_name_H-M_alt 'F -4 3 m'
_space_group_IT_number 216
_space_group_name_Hall 'F -4 2 3'
_cell_length_a 8.335
_cell_length_b 8.335
_cell_length_c 8.335
_cell_angle_alpha 90.00
_cell_angle_beta 90.00
_cell_angle_gamma 90.00
loop_
_atom_site_label
_atom_site_fract_x
_atom_site_fract_y
_atom_site_fract_z
_atom_site_occupancy
Ba1 0.000 0.000 0.000 1
Eu1 0.000 0.000 0.500 1
V1 0.250 0.250 0.750 1
Bi1 0.250 0.250 0.250 1
O1 0.023 0.250 0.750 1
```

Output
ΔE_f = -2.444 eV/atom

First-principles (meta-GGA r2SCAN) data for crystalline Ba11Sb10 at its relaxed geometry, as listed in the Materials Project database.

```
data_Ba11Sb10
_chemical_formula_sum 'Ba44 Sb40'
_space_group_name_H-M_alt 'I m m m'
_space_group_IT_number 71
_space_group_name_Hall '-I 2 2'
_cell_length_a 12.817
_cell_length_b 13.349
_cell_length_c 19.920
_cell_angle_alpha 90.00
_cell_angle_beta 90.00
_cell_angle_gamma 90.00
loop_
_atom_site_label
_atom_site_fract_x
_atom_site_fract_y
_atom_site_fract_z
_atom_site_occupancy
Ba1 0.000 0.000 0.147 1
Ba2 0.000 0.252 0.313 1
Ba3 0.000 0.323 0.111 1
Ba4 0.172 0.500 0.400 1
Ba5 0.174 0.164 0.500 1
Ba6 0.249 0.000 0.304 1
Sb1 0.000 0.000 0.386 1
Sb2 0.000 0.348 0.500 1
Sb3 0.000 0.500 0.255 1
Sb4 0.109 0.130 0.000 1
Sb5 0.113 0.500 0.000 1
Sb6 0.214 0.211 0.185 1
```

Output
ΔE_f = -1.183 eV/atom

First-principles (meta-GGA r2SCAN) data for crystalline TiFe2O4 at its relaxed geometry, as listed in the Materials Project database.

```
data_TiFe2O4
_chemical_formula_sum 'Ti8 Fe16 O32'
_space_group_name_H-M_alt 'C 1 2/c 1'
_space_group_IT_number 15
_cell_length_a 10.307
_cell_length_b 6.096
_cell_length_c 10.196
_cell_angle_alpha 90.00
_cell_angle_beta 107.88
_cell_angle_gamma 90.00
loop_
_space_group_symop_operation_xyz
'x,y,z'
'-x,-y,-z'
'-x,y,-z+1/2'
'x,-y,z+1/2'
'x+1/2,y+1/2,z'
'-x+1/2,-y+1/2,-z'
'-x+1/2,y+1/2,-z+1/2'
'x+1/2,-y+1/2,z+1/2'
loop_
_atom_site_label
_atom_site_fract_x
_atom_site_fract_y
_atom_site_fract_z
_atom_site_occupancy
Ti1 0.000 0.000 0.000 1
Ti2 0.000 0.264 0.250 1
Fe1 0.000 0.500 0.000 1
Fe2 0.186 0.247 0.812 1
Fe3 0.250 0.250 0.500 1
O1 0.111 0.241 0.608 1
O2 0.112 0.017 0.374 1
O3 0.113 0.231 0.121 1
O4 0.122 0.474 0.366 1
```

Output
ΔE_f = -2.164 eV/atom

First-principles (meta-GGA r2SCAN) data for crystalline RbGa3 at its relaxed geometry, as listed in the Materials Project database.

```
data_RbGa3
_chemical_formula_sum 'Rb6 Ga18'
_space_group_name_H-M_alt 'I -4 m 2'
_space_group_IT_number 119
_space_group_name_Hall 'I -4 -2'
_cell_length_a 6.315
_cell_length_b 6.315
_cell_length_c 14.920
_cell_angle_alpha 90.00
_cell_angle_beta 90.00
_cell_angle_gamma 90.00
loop_
_atom_site_label
_atom_site_fract_x
_atom_site_fract_y
_atom_site_fract_z
_atom_site_occupancy
Rb1 0.000 0.000 0.000 1
Rb2 0.000 0.500 0.628 1
Ga1 0.000 0.000 0.500 1
Ga2 0.000 0.208 0.223 1
Ga3 0.000 0.306 0.391 1
```

Output
ΔE_f = -0.230 eV/atom